Here is a relaxed K3NaRu2O8 crystal from the Materials Project. Energies are from PBE. Values from VASP.

## Properties
The calculation puts the energy above the most stable polymorph in this dataset at 6 meV per atom. The crystal system is trigonal. As for the theoretical density: 3127 kg/m3. The uncorrected energy is -81.191 eV per formula unit. The energy of formation comes out at -23.90 eV/f.u.

The structure in Quantum ESPRESSO input format:
```
&SYSTEM
  ibrav = 0, nat = 14, ntyp = 4
/
ATOMIC_SPECIES
O 16.00 O.upf
K 39.10 K.upf
Ru 101.07 Ru.upf
Na 22.99 Na.upf
CELL_PARAMETERS angstrom
-5.2706 -0.6617 -2.9606
4.5586 -3.8992 -0.9983
-2.6510 -4.5691 5.7405
ATOMIC_POSITIONS angstrom
O -2.0300 -1.8026 -2.2289
O -0.1315 -2.8758 0.8768
O -3.2315 -6.2541 0.9048
O -1.3329 -7.3274 4.0105
O -5.3891 -4.4086 1.3773
O -2.8945 -4.0954 2.7786
O 2.0262 -4.7214 0.4042
O -0.4684 -5.0346 -0.9971
K 0.0000 0.0000 0.0000
K -2.9105 -3.3202 -0.3223
K -0.4524 -5.8098 2.1038
Ru -4.0793 -5.3346 2.2086
Ru 0.7164 -3.7953 -0.4271
Na -1.3255 -2.2845 2.8703
```

=====

Here is a relaxed NpFe2Si2 crystal from the Materials Project. Energies are from PBE. Values from VASP.

## Properties
The crystal system is tetragonal. As for the theoretical density: 9112 kg/m3. The uncorrected energy is -42.286 eV per formula unit. The energy of formation comes out at -1.41 eV/f.u.

The structure in Quantum ESPRESSO input format:
```
&SYSTEM
  ibrav = 0, nat = 5, ntyp = 3
/
ATOMIC_SPECIES
Si 28.09 Si.upf
Np 237.00 Np.upf
Fe 55.84 Fe.upf
CELL_PARAMETERS angstrom
1.4606 5.2536 0.6096
-3.9189 3.7491 0.8319
1.4499 -4.8830 2.0394
ATOMIC_POSITIONS angstrom
Si -1.5500 5.6766 0.9089
Si -0.9082 3.3261 0.5326
Np 0.0000 0.0000 0.0000
Fe 0.8407 2.4360 1.6849
Fe -1.8491 1.6837 1.7960
```

=====

Here is a relaxed Dy3Si2Ni crystal from the Materials Project. Energies are from PBE. Values from VASP.

## Properties
The crystal system is orthorhombic. As for the theoretical density: 7614 kg/m3. The uncorrected energy is -34.872 eV per formula unit. The energy of formation comes out at -4.42 eV/f.u.

The structure in Quantum ESPRESSO input format:
```
&SYSTEM
  ibrav = 0, nat = 24, ntyp = 3
/
ATOMIC_SPECIES
Si 28.09 Si.upf
Dy 162.50 Dy.upf
Ni 58.69 Ni.upf
CELL_PARAMETERS angstrom
-3.4043 -2.0120 1.2053
4.1827 -9.5700 -4.1612
4.8427 -2.2197 9.9726
ATOMIC_POSITIONS angstrom
Si -1.6535 -3.3438 0.3824
Si 5.1108 -7.0240 6.2549
Si 0.5103 -6.7777 0.7617
Si 7.2746 -10.4579 6.6342
Si 4.3168 -8.1205 2.1817
Si 0.6398 -1.2244 3.3078
Si 1.3044 -5.6812 4.8350
Si 4.9814 -12.5773 3.7089
Dy 2.5200 -6.1523 7.4819
Dy 3.1011 -7.6494 -0.4652
Dy 4.6231 -9.5789 7.7022
Dy 2.3709 -2.9339 5.3438
Dy 3.6706 -3.0359 8.8444
Dy 1.9505 -10.7658 -1.8277
Dy 0.9980 -4.2229 -0.6855
Dy -0.3439 -4.0301 2.9358
Dy 2.7837 -8.2420 4.7386
Dy 2.8374 -5.5597 2.2781
Dy 5.9650 -9.7716 4.0809
Dy 3.2502 -10.8678 1.6729
Ni 3.7301 -5.4092 5.0507
Ni 5.2887 -11.7362 5.9809
Ni 1.8910 -8.3925 1.9660
Ni 0.3324 -2.0655 1.0358
```

=====

Here is a relaxed NaNb2SiGe2P5O24 crystal from the Materials Project. Energies are from PBE. Values from VASP.

## Properties
The crystal system is triclinic. As for the theoretical density: 3214 kg/m3. The uncorrected energy is -260.070 eV per formula unit. The energy of formation comes out at -94.54 eV/f.u.

The structure in Quantum ESPRESSO input format:
```
&SYSTEM
  ibrav = 0, nat = 105, ntyp = 6
/
ATOMIC_SPECIES
O 16.00 O.upf
Nb 92.91 Nb.upf
P 30.97 P.upf
Ge 72.64 Ge.upf
Na 22.99 Na.upf
Si 28.09 Si.upf
CELL_PARAMETERS angstrom
-7.3902 4.3773 -0.7866
1.1691 -5.2978 6.7008
8.6313 16.7180 11.6914
ATOMIC_POSITIONS angstrom
O 2.8919 3.3250 8.2864
O -5.4153 1.4740 5.8012
O 4.9048 11.3224 9.2297
O 3.5223 10.4960 14.0720
O 1.2591 9.9424 6.9104
O 0.8411 13.4459 13.9692
O 5.2878 14.9047 15.6674
O 0.5067 3.5704 9.6663
O -2.5615 4.5480 8.2928
O -3.2323 2.3019 7.2201
O -2.0981 8.2776 7.5612
O 2.4536 6.5665 6.0366
O -1.8822 13.1890 7.3321
O 0.4248 -1.5157 5.1191
O -0.4079 1.5310 1.9025
O -0.8289 9.1115 5.4199
O 3.2095 12.9134 10.2853
O 7.8110 14.2929 11.8568
O 3.6018 10.6247 6.9251
O -1.9689 2.6119 3.6259
O 1.5704 -1.1034 8.5295
O -5.4242 5.0950 0.5740
O 6.8018 7.2833 13.5991
O 7.0248 12.3010 13.2414
O -2.8038 0.9249 1.9635
O -4.7750 2.7159 0.8754
O 3.7439 15.6238 13.6502
O 0.8026 16.8911 9.0786
O 5.6198 13.5219 10.3311
O 4.4076 16.8827 11.3690
O 2.0639 8.3866 10.5473
O 2.7702 14.1921 15.7064
O 0.3089 7.3999 7.0410
O 1.2307 5.8497 3.6192
O -1.1441 5.2656 3.5519
O 2.4019 6.7979 8.4721
O 4.4375 13.1368 13.8428
O 4.2995 2.6204 10.2767
O 5.7264 11.3262 15.4919
O -0.8221 2.9209 7.3878
O -1.3422 0.2201 3.8735
O -3.6973 6.0908 4.2880
O -4.5577 3.4284 4.4038
O -1.2523 10.8360 7.4939
O -0.0211 9.0401 9.1497
O 1.4247 14.5001 9.3326
O -0.4774 12.4827 9.3319
O -2.3347 4.2611 5.8773
O 1.9070 12.2294 7.9322
O 1.1462 9.9003 14.0417
O 4.5110 7.5052 10.0083
O 7.7283 14.5181 14.3186
O 1.5627 2.3097 3.5360
O 0.8880 5.0243 7.3416
O -3.4152 4.4740 2.0516
O 1.1881 5.8377 10.7253
O 3.2257 6.6534 12.1745
O 3.7033 4.9956 10.0909
O 0.9719 1.3109 8.3546
O 7.8540 10.6446 17.0292
O 2.0052 17.3305 12.5092
O -1.1681 5.2079 10.6655
O 6.2123 9.6620 13.3190
O 1.5155 10.7894 10.2759
O 0.9725 13.2081 11.5030
O -5.2988 1.2775 3.3287
O 7.2117 13.1731 16.7344
O 4.8077 11.5217 11.6753
O 1.4410 2.6138 6.1760
O -0.0439 9.2639 11.5794
O -4.3059 8.5634 3.9509
O -2.0715 -1.0425 6.3013
Nb -4.2415 10.4128 3.4815
Nb 5.2268 11.3847 13.6297
Nb 3.9090 17.4700 13.1336
Nb -1.4981 -1.6927 4.5134
Nb 6.6561 5.3484 14.1369
Nb -2.8758 4.3947 3.9747
P 2.1442 11.1978 6.7988
P 4.6436 12.3247 10.3653
P -2.2273 3.4754 7.2413
P 1.1121 15.6025 8.2898
P 7.9497 13.5169 13.1640
P 1.2836 0.1902 9.3283
P 4.0188 3.7534 9.2465
P 0.2759 4.6103 10.7803
P 1.5099 6.4311 7.2810
P 0.0139 13.0729 12.7172
P -1.5935 1.3417 2.8595
P -1.6172 12.0456 8.3759
P 0.9099 9.3630 10.3338
P -5.5633 2.2640 4.4931
P -4.2286 4.1599 0.7839
Ge 1.1415 13.3461 15.8750
Ge 2.8367 6.6617 10.3116
Ge 1.0218 3.1531 7.8447
Ge 1.3698 12.5802 9.7064
Ge 1.2856 2.5118 1.7721
Ge -0.4021 9.1767 7.3214
Na 2.6231 15.0178 11.4104
Na 2.3978 15.7730 17.5830
Na -1.6249 6.8153 5.6716
Si 2.3707 2.7151 4.8825
Si 4.0239 14.4248 14.7390
Si 6.6242 11.6438 16.8037
```